## AsN2F7 (PBE)

Data for AsN2F7 after structural relaxation.

Computed properties:
E in eV/atom: -4.69
Total moment in μB per cell: 0.00
SG: Cm (8)
Corrected total energy (MP2020 scheme) in eV/atom: -5.0099
Energy of formation from the pure elements in kJ/mol of formula units: -1483

Unit cell a=5.3378 b=5.3378 c=26.2665 alpha=89.37 beta=89.37 gamma=65.94
Element x y z (fractional)
F  0.6781  0.1145  0.1329
F  0.8858  0.3209  0.6672
F  0.8859  0.3204  0.2673
F  0.8682  0.8682  0.4504
F  0.3209  0.8858  0.6672
N  0.6241  0.6241  0.3852
F  0.1316  0.1316  0.7497
N  0.5049  0.5049  0.5986
F  0.8856  0.3214  0.8671
F  0.3726  0.3726  0.4155
F  0.8859  0.3204  0.0673
F  0.1145  0.6781  0.3330
As  0.0000  0.0000  0.7000
F  0.8859  0.3204  0.4673
As  0.9997  0.9997  0.3002
F  0.3725  0.3725  0.2155
F  0.8683  0.8683  0.2504
F  0.3725  0.3725  0.0155
N  0.5049  0.5049  0.9986
F  0.1143  0.6786  0.9329
F  0.6786  0.1143  0.9329
F  0.1141  0.6792  0.7328
F  0.3204  0.8859  0.2673
As  0.9997  0.9997  0.5002
F  0.1317  0.1317  0.1497
As  0.9999  0.9999  0.9000
N  0.5049  0.5049  0.3986
N  0.6241  0.6241  0.9852
F  0.6781  0.1144  0.5330
F  0.3204  0.8859  0.4673
F  0.3725  0.3725  0.6155
F  0.8683  0.8683  0.0504
F  0.6275  0.6275  0.7846
N  0.4950  0.4950  0.8015
N  0.3760  0.3760  0.8148
F  0.8683  0.8683  0.6503
F  0.6792  0.1141  0.7328
N  0.6241  0.6241  0.1852
F  0.8682  0.8682  0.8503
F  0.1317  0.1317  0.9497
F  0.6781  0.1145  0.3330
F  0.1144  0.6781  0.5330
F  0.1317  0.1317  0.3497
F  0.3204  0.8859  0.0673
F  0.1145  0.6781  0.1329
As  0.9997  0.9997  0.1002
N  0.5049  0.5049  0.1986
N  0.6241  0.6241  0.5852
F  0.3214  0.8856  0.8671
F  0.1317  0.1317  0.5497